1.
Below is a relaxed ZnH8C4N3O6 crystal, with properties calculated at the PBE level.

The structure in POSCAR format:
```
ZnH8C4N3O6
1.0
4.190 -4.583 5.865
1.991 -6.068 -6.164
10.175 5.978 -2.598
O Zn C H N
24 4 16 32 12
Direct
0.740 0.634 0.592
0.900 0.916 0.311
0.103 0.079 0.684
0.941 0.881 0.692
0.741 0.868 0.906
0.897 0.579 0.184
0.558 0.882 0.307
0.400 0.084 0.311
0.240 0.366 0.592
0.259 0.368 0.406
0.260 0.134 0.092
0.559 0.619 0.192
0.760 0.866 0.092
0.759 0.632 0.406
0.441 0.119 0.692
0.058 0.118 0.307
0.600 0.584 0.811
0.442 0.382 0.807
0.059 0.381 0.192
0.603 0.921 0.684
0.241 0.132 0.906
0.397 0.421 0.184
0.942 0.618 0.807
0.100 0.416 0.811
0.252 0.249 0.250
0.752 0.751 0.250
0.248 0.251 0.750
0.748 0.749 0.750
0.020 0.986 0.276
0.251 0.757 0.502
0.751 0.243 0.502
0.249 0.743 0.002
0.249 0.201 0.999
0.482 0.987 0.722
0.018 0.513 0.222
0.749 0.257 0.002
0.982 0.013 0.722
0.751 0.701 0.499
0.518 0.487 0.222
0.480 0.514 0.776
0.749 0.799 0.999
0.251 0.299 0.499
0.520 0.014 0.276
0.980 0.486 0.776
0.824 0.429 0.416
0.910 0.072 0.784
0.085 0.751 0.881
0.828 0.458 0.050
0.327 0.934 0.083
0.097 0.929 0.215
0.328 0.542 0.050
0.583 0.256 0.621
0.255 0.175 0.498
0.827 0.066 0.083
0.417 0.756 0.121
0.410 0.928 0.784
0.585 0.249 0.881
0.173 0.566 0.583
0.415 0.749 0.381
0.176 0.929 0.916
0.090 0.572 0.284
0.672 0.042 0.550
0.403 0.571 0.715
0.917 0.244 0.121
0.915 0.251 0.381
0.745 0.675 0.998
0.172 0.958 0.550
0.324 0.571 0.416
0.083 0.744 0.621
0.245 0.325 0.998
0.903 0.429 0.715
0.755 0.825 0.498
0.673 0.434 0.583
0.676 0.071 0.916
0.597 0.071 0.215
0.590 0.428 0.284
0.162 0.814 0.927
0.233 0.592 0.012
0.338 0.686 0.427
0.342 0.819 0.072
0.733 0.408 0.012
0.662 0.186 0.927
0.842 0.181 0.072
0.267 0.908 0.512
0.158 0.681 0.572
0.767 0.092 0.512
0.838 0.314 0.427
0.658 0.319 0.572
```

Values from the calculation:
energy of formation from the pure elements	-0.810	eV per atom
size of the total moment	1.000	μB per formula unit

=====

2.
Below is a relaxed Dy2MgSe4 crystal, with properties calculated at the PBE level.

The structure in POSCAR format:
```
Dy2MgSe4
1.0
-8.803 -5.326 -8.318
0.506 -6.872 3.865
-10.006 3.837 8.132
Se Mg Dy
32 8 16
Direct
0.730 0.369 0.779
0.487 0.877 0.378
0.230 0.631 0.779
0.288 0.379 0.019
0.288 0.879 0.003
0.479 0.373 0.369
0.035 0.377 0.130
0.021 0.373 0.869
0.513 0.123 0.878
0.270 0.631 0.279
0.013 0.877 0.878
0.770 0.369 0.279
0.042 0.872 0.136
0.212 0.379 0.519
0.231 0.127 0.778
0.212 0.879 0.503
0.542 0.128 0.136
0.979 0.627 0.369
0.731 0.873 0.778
0.788 0.621 0.019
0.269 0.127 0.278
0.535 0.623 0.130
0.958 0.128 0.636
0.712 0.621 0.519
0.712 0.121 0.503
0.458 0.872 0.636
0.965 0.623 0.630
0.987 0.123 0.378
0.788 0.121 0.003
0.521 0.627 0.869
0.465 0.377 0.630
0.769 0.873 0.278
0.873 0.122 0.821
0.611 0.619 0.690
0.373 0.878 0.821
0.127 0.878 0.321
0.389 0.381 0.190
0.889 0.619 0.190
0.111 0.381 0.690
0.627 0.122 0.321
0.108 0.882 0.686
0.867 0.871 0.491
0.128 0.381 0.326
0.892 0.118 0.186
0.608 0.118 0.686
0.872 0.619 0.826
0.633 0.372 0.991
0.367 0.129 0.491
0.628 0.619 0.326
0.867 0.372 0.491
0.367 0.628 0.491
0.372 0.381 0.826
0.133 0.628 0.991
0.633 0.871 0.991
0.392 0.882 0.186
0.133 0.129 0.991
```

Values from the calculation:
energy of formation from the pure elements	-1.938	eV per atom
relative energy among the computed polymorphs	23	meV/atom
size of the total moment	0.000	μB per formula unit